1.
Here is crystalline NaMn2FeAgP3O12 at its relaxed geometry from the Materials Project database. Energies are from PBE+U.

Uncorrected energy (eV per atom): -6.55
Crystal system: monoclinic
ΔE to the lowest computed polymorph (meV/atom): 427
Total energy after the MP2020 corrections (eV for the cell shown): -289.8
Space-group type: C2
M_tot (Bohr magnetons per cell): 2.000

a = 8.4650 Å, b = 8.4650 Å, c = 9.9047 Å
α = 67.79°, β = 67.79°, γ = 81.00°
Fractional coordinates of all 40 atoms:
Na: 0.2684 0.4387 0.1615
Na: 0.5613 0.7316 0.8385
Mn: 0.3248 0.9189 0.1583
Mn: 0.2067 0.7933 0.0000
Mn: 0.0811 0.6752 0.8417
Mn: 0.7022 0.2978 0.5000
Fe: 0.9485 0.3389 0.6559
Fe: 0.6611 0.0515 0.3441
Ag: 0.9453 0.0547 0.0000
Ag: 0.9854 0.0146 0.5000
P: 0.7571 0.6250 0.0598
P: 0.6777 0.3223 0.0000
P: 0.3750 0.2429 0.9402
P: 0.6953 0.6989 0.4925
P: 0.3455 0.6545 0.5000
P: 0.3011 0.3047 0.5075
O: 0.4549 0.0893 0.8886
O: 0.8569 0.3474 0.8729
O: 0.5463 0.3639 0.9125
O: 0.3013 0.1740 0.1248
O: 0.1132 0.9195 0.1372
O: 0.3737 0.7254 0.0976
O: 0.2746 0.6263 0.9024
O: 0.0805 0.8868 0.8628
O: 0.8260 0.6987 0.8752
O: 0.1904 0.3057 0.4173
O: 0.6361 0.4537 0.0875
O: 0.6526 0.1431 0.1271
O: 0.3666 0.8244 0.3681
O: 0.3787 0.5004 0.4348
O: 0.9107 0.5451 0.1114
O: 0.1820 0.2777 0.6762
O: 0.8366 0.1818 0.6484
O: 0.8036 0.5309 0.5155
O: 0.4691 0.1964 0.4845
O: 0.8182 0.1634 0.3516
O: 0.7223 0.8180 0.3238
O: 0.4996 0.6213 0.5652
O: 0.1756 0.6334 0.6319
O: 0.6943 0.8096 0.5827

---

2.
Here is crystalline MgVSiO5 at its relaxed geometry from the Materials Project database. Energies are from PBE+U.

Uncorrected energy (eV per atom): -7.34
Crystal system: monoclinic
ΔE to the lowest computed polymorph (meV/atom): 24
Total energy after the MP2020 corrections (eV for the cell shown): -127.8
Space-group type: Cc
M_tot (Bohr magnetons per cell): 2.000

a = 5.2921 Å, b = 5.2921 Å, c = 6.9868 Å
α = 75.61°, β = 75.61°, γ = 104.41°
Fractional coordinates of all 16 atoms:
Mg: 0.8265 0.1675 0.7657
Mg: 0.1675 0.8265 0.2657
V: 0.5007 0.4995 0.5083
V: 0.4995 0.5007 0.0083
Si: 0.1748 0.8262 0.7556
Si: 0.8262 0.1748 0.2556
O: 0.4028 0.8311 0.8774
O: 0.1649 0.5928 0.6361
O: 0.5928 0.1649 0.1361
O: 0.8311 0.4028 0.3774
O: 0.7711 0.8729 0.4209
O: 0.1338 0.2214 0.0979
O: 0.2214 0.1338 0.5979
O: 0.8729 0.7711 0.9209
O: 0.4186 0.5850 0.2559
O: 0.5850 0.4186 0.7559

---

3.
Here is crystalline K2Mo2O15 at its relaxed geometry from the Materials Project database. Energies are from PBE+U.

Uncorrected energy (eV per atom): -5.64
Crystal system: triclinic
ΔE to the lowest computed polymorph (meV/atom): 49
Total energy after the MP2020 corrections (eV for the cell shown): -232.1
Space-group type: P-1
M_tot (Bohr magnetons per cell): 12.000

a = 6.5103 Å, b = 9.7782 Å, c = 13.5872 Å
α = 95.18°, β = 102.65°, γ = 108.87°
Fractional coordinates of all 38 atoms:
K: 0.8085 0.2358 0.9789
K: 0.1915 0.7642 0.0211
K: 0.4571 0.2121 0.6311
K: 0.5429 0.7879 0.3689
Mo: 0.5858 0.6309 0.8261
Mo: 0.4142 0.3691 0.1739
Mo: 0.0599 0.0397 0.2436
Mo: 0.9401 0.9603 0.7564
O: 0.1637 0.2355 0.2135
O: 0.8363 0.7645 0.7865
O: 0.0994 0.6455 0.4448
O: 0.9006 0.3545 0.5552
O: 0.8616 0.9843 0.3141
O: 0.1384 0.0157 0.6859
O: 0.0606 0.5114 0.2368
O: 0.9394 0.4886 0.7632
O: 0.0111 0.2888 0.5226
O: 0.9889 0.7112 0.4774
O: 0.3316 0.6637 0.8669
O: 0.6684 0.3363 0.1331
O: 0.8866 0.3733 0.7987
O: 0.1134 0.6267 0.2013
O: 0.4652 0.4802 0.7255
O: 0.5348 0.5198 0.2745
O: 0.3155 0.1231 0.9126
O: 0.6845 0.8769 0.0874
O: 0.1758 0.9851 0.8976
O: 0.8242 0.0149 0.1024
O: 0.8255 0.0869 0.7971
O: 0.1745 0.9131 0.2029
O: 0.3234 0.1490 0.3768
O: 0.6766 0.8510 0.6232
O: 0.4627 0.7941 0.8317
O: 0.5373 0.2059 0.1683
O: 0.6566 0.9532 0.5673
O: 0.3434 0.0468 0.4327
O: 0.2657 0.4136 0.0649
O: 0.7343 0.5864 0.9351